Computed, not measured: BaZnFeF7 after structural relaxation at the GGA+U level of DFT.

Results
V in Å³ per atom: 14.0
ΔE_f in meV per atom: -3114
DFT total energy in eV per atom: -5.070

```
data_BaZnFeF7
_chemical_formula_sum 'Ba4 Zn4 Fe4 F28'
_cell_length_a 5.699
_cell_length_b 10.114
_cell_length_c 9.727
_cell_angle_alpha 90.00
_cell_angle_beta 93.12
_cell_angle_gamma 90.00
_space_group_name_H-M_alt 'P 1 21/c 1'
_space_group_IT_number 14
loop_
_space_group_symop_operation_xyz
'x,y,z'
'-x,-y,-z'
'-x,y+1/2,-z+1/2'
'x,-y+1/2,z+1/2'
loop_
_atom_site_label
_atom_site_type_symbol
_atom_site_fract_x
_atom_site_fract_y
_atom_site_fract_z
Ba1 Ba 0.238 0.179 0.001
Zn1 Zn 0.201 0.602 0.811
Fe1 Fe 0.303 0.610 0.188
F1 F 0.027 0.709 0.247
F2 F 0.111 0.542 0.625
F3 F 0.135 0.050 0.631
F4 F 0.241 0.689 0.002
F5 F 0.390 0.057 0.377
F6 F 0.390 0.541 0.367
F7 F 0.475 0.724 0.747
```